The following is a PBE-GGA calculation of a relaxed Ti2Si7H42C14Cl6O2 crystal, from the Materials Project.

## Properties
**Calculated volume**: 14.08 A^3/atom
**Crystal system**: monoclinic
**DFT formation energy**: -0.46 eV/atom

abc: 12.964 17.613 19.645
angles: 90.00 113.56 90.00
Fractional positions:
1 Ti 0.032 0.101 0.448
2 Ti 0.032 0.399 0.948
3 Ti 0.240 0.012 0.658
4 Ti 0.240 0.488 0.158
5 Ti 0.760 0.512 0.842
6 Ti 0.760 0.988 0.342
7 Ti 0.968 0.601 0.052
8 Ti 0.968 0.899 0.552
9 Si 0.016 0.136 0.904
10 Si 0.016 0.364 0.404
11 Si 0.092 0.732 0.276
12 Si 0.092 0.768 0.776
13 Si 0.101 0.744 0.658
14 Si 0.101 0.756 0.158
15 Si 0.284 0.741 0.654
16 Si 0.284 0.759 0.154
17 Si 0.403 0.649 0.204
18 Si 0.403 0.851 0.704
19 Si 0.477 0.156 0.166
20 Si 0.477 0.344 0.666
21 Si 0.482 0.125 0.365
22 Si 0.482 0.375 0.865
23 Si 0.518 0.625 0.135
24 Si 0.518 0.875 0.635
25 Si 0.523 0.656 0.334
26 Si 0.523 0.844 0.834
27 Si 0.597 0.149 0.296
28 Si 0.597 0.351 0.796
29 Si 0.716 0.241 0.846
30 Si 0.716 0.259 0.346
31 Si 0.899 0.244 0.842
32 Si 0.899 0.256 0.342
33 Si 0.908 0.232 0.224
34 Si 0.908 0.268 0.724
35 Si 0.984 0.636 0.596
36 Si 0.984 0.864 0.096
37 H 0.018 0.501 0.376
38 H 0.018 0.999 0.876
39 H 0.019 0.553 0.707
40 H 0.019 0.947 0.207
41 H 0.027 0.171 0.030
42 H 0.027 0.329 0.530
43 H 0.055 0.203 0.178
44 H 0.055 0.297 0.678
45 H 0.069 0.594 0.508
46 H 0.069 0.906 0.008
47 H 0.078 0.078 0.028
48 H 0.078 0.422 0.528
49 H 0.099 0.173 0.273
50 H 0.099 0.327 0.773
51 H 0.104 0.630 0.809
52 H 0.104 0.870 0.309
53 H 0.107 0.229 0.751
54 H 0.107 0.271 0.251
55 H 0.121 0.536 0.669
56 H 0.121 0.964 0.169
57 H 0.126 0.593 0.300
58 H 0.126 0.907 0.800
59 H 0.153 0.689 0.889
60 H 0.153 0.811 0.389
61 H 0.176 0.168 0.868
62 H 0.176 0.332 0.368
63 H 0.191 0.648 0.382
64 H 0.191 0.852 0.882
65 H 0.197 0.208 0.956
66 H 0.197 0.292 0.456
67 H 0.204 0.723 0.018
68 H 0.204 0.777 0.518
69 H 0.218 0.676 0.530
70 H 0.218 0.824 0.030
71 H 0.219 0.109 0.947
72 H 0.219 0.391 0.447
73 H 0.241 0.671 0.841
74 H 0.241 0.829 0.341
75 H 0.255 0.640 0.318
76 H 0.255 0.860 0.818
77 H 0.280 0.197 0.098
78 H 0.280 0.303 0.598
79 H 0.296 0.154 0.184
80 H 0.296 0.346 0.684
81 H 0.300 0.074 0.272
82 H 0.300 0.426 0.772
83 H 0.317 0.602 0.675
84 H 0.317 0.898 0.175
85 H 0.338 0.732 0.545
86 H 0.338 0.768 0.045
87 H 0.339 0.029 0.360
88 H 0.339 0.471 0.860
89 H 0.343 0.249 0.182
90 H 0.343 0.251 0.682
91 H 0.356 0.213 0.394
92 H 0.356 0.287 0.894
93 H 0.357 0.237 0.307
94 H 0.357 0.263 0.807
95 H 0.374 0.641 0.005
96 H 0.374 0.651 0.761
97 H 0.374 0.849 0.261
98 H 0.374 0.859 0.505
99 H 0.394 0.543 0.030
100 H 0.394 0.957 0.530
101 H 0.395 0.706 0.393
102 H 0.395 0.794 0.893
103 H 0.405 0.058 0.067
104 H 0.405 0.442 0.567
105 H 0.406 0.001 0.301
106 H 0.406 0.499 0.801
107 H 0.429 0.017 0.155
108 H 0.429 0.483 0.655
109 H 0.447 0.651 0.701
110 H 0.447 0.849 0.201
111 H 0.456 0.535 0.370
112 H 0.456 0.965 0.870
113 H 0.460 0.220 0.051
114 H 0.460 0.280 0.551
115 H 0.472 0.236 0.890
116 H 0.472 0.264 0.390
117 H 0.472 0.719 0.873
118 H 0.472 0.781 0.373
119 H 0.497 0.593 0.009
120 H 0.497 0.907 0.509
121 H 0.503 0.093 0.491
122 H 0.503 0.407 0.991
123 H 0.528 0.219 0.627
124 H 0.528 0.281 0.127
125 H 0.528 0.736 0.610
126 H 0.528 0.764 0.110
127 H 0.540 0.720 0.449
128 H 0.540 0.780 0.949
129 H 0.544 0.035 0.130
130 H 0.544 0.465 0.630
131 H 0.553 0.151 0.799
132 H 0.553 0.349 0.299
133 H 0.571 0.517 0.345
134 H 0.571 0.983 0.845
135 H 0.594 0.501 0.199
136 H 0.594 0.999 0.699
137 H 0.595 0.558 0.433
138 H 0.595 0.942 0.933
139 H 0.605 0.206 0.107
140 H 0.605 0.294 0.607
141 H 0.606 0.043 0.470
142 H 0.606 0.457 0.970
143 H 0.626 0.141 0.495
144 H 0.626 0.151 0.739
145 H 0.626 0.349 0.239
146 H 0.626 0.359 0.995
147 H 0.643 0.737 0.193
148 H 0.643 0.763 0.693
149 H 0.644 0.713 0.106
150 H 0.644 0.787 0.606
151 H 0.657 0.749 0.318
152 H 0.657 0.751 0.818
153 H 0.661 0.529 0.140
154 H 0.661 0.971 0.640
155 H 0.662 0.232 0.955
156 H 0.662 0.268 0.455
157 H 0.683 0.102 0.825
158 H 0.683 0.398 0.325
159 H 0.700 0.574 0.228
160 H 0.700 0.926 0.728
161 H 0.704 0.654 0.316
162 H 0.704 0.846 0.816
163 H 0.720 0.697 0.402
164 H 0.720 0.803 0.902
165 H 0.745 0.140 0.182
166 H 0.745 0.360 0.682
167 H 0.759 0.171 0.659
168 H 0.759 0.329 0.159
169 H 0.781 0.609 0.553
170 H 0.781 0.891 0.053
171 H 0.782 0.176 0.970
172 H 0.782 0.324 0.470
173 H 0.796 0.223 0.482
174 H 0.796 0.277 0.982
175 H 0.803 0.708 0.544
176 H 0.803 0.792 0.044
177 H 0.809 0.148 0.118
178 H 0.809 0.352 0.618
179 H 0.824 0.668 0.632
180 H 0.824 0.832 0.132
181 H 0.847 0.189 0.611
182 H 0.847 0.311 0.111
183 H 0.874 0.093 0.200
184 H 0.874 0.407 0.700
185 H 0.879 0.036 0.831
186 H 0.879 0.464 0.331
187 H 0.893 0.729 0.749
188 H 0.893 0.771 0.249
189 H 0.896 0.130 0.691
190 H 0.896 0.370 0.191
191 H 0.901 0.673 0.227
192 H 0.901 0.827 0.727
193 H 0.922 0.578 0.472
194 H 0.922 0.922 0.972
195 H 0.931 0.094 0.992
196 H 0.931 0.406 0.492
197 H 0.945 0.703 0.322
198 H 0.945 0.797 0.822
199 H 0.973 0.671 0.470
200 H 0.973 0.829 0.970
201 H 0.981 0.053 0.793
202 H 0.981 0.447 0.293
203 H 0.982 0.001 0.124
204 H 0.982 0.499 0.624
205 C 0.012 0.118 0.997
206 C 0.012 0.382 0.497
207 C 0.032 0.548 0.655
208 C 0.032 0.952 0.155
209 C 0.057 0.219 0.233
210 C 0.057 0.281 0.733
211 C 0.154 0.681 0.834
212 C 0.154 0.819 0.334
213 C 0.166 0.158 0.920
214 C 0.166 0.342 0.420
215 C 0.174 0.645 0.323
216 C 0.174 0.855 0.823
217 C 0.258 0.731 0.552
218 C 0.258 0.769 0.052
219 C 0.336 0.192 0.157
220 C 0.336 0.308 0.657
221 C 0.363 0.653 0.703
222 C 0.363 0.847 0.203
223 C 0.372 0.050 0.319
224 C 0.372 0.450 0.819
225 C 0.410 0.219 0.364
226 C 0.410 0.281 0.864
227 C 0.437 0.598 0.035
228 C 0.437 0.902 0.535
229 C 0.463 0.057 0.126
230 C 0.463 0.443 0.626
231 C 0.476 0.722 0.392
232 C 0.476 0.778 0.892
233 C 0.524 0.222 0.108
234 C 0.524 0.278 0.608
235 C 0.537 0.557 0.374
236 C 0.537 0.943 0.874
237 C 0.563 0.098 0.465
238 C 0.563 0.402 0.965
239 C 0.590 0.719 0.136
240 C 0.590 0.781 0.636
241 C 0.628 0.550 0.181
242 C 0.628 0.950 0.681
243 C 0.637 0.153 0.797
244 C 0.637 0.347 0.297
245 C 0.664 0.692 0.343
246 C 0.664 0.808 0.843
247 C 0.742 0.231 0.948
248 C 0.742 0.269 0.448
249 C 0.826 0.145 0.177
250 C 0.826 0.355 0.677
251 C 0.834 0.658 0.580
252 C 0.834 0.842 0.080
253 C 0.846 0.181 0.666
254 C 0.846 0.319 0.166
255 C 0.943 0.719 0.267
256 C 0.943 0.781 0.767
257 C 0.968 0.048 0.845
258 C 0.968 0.452 0.345
259 C 0.988 0.618 0.503
260 C 0.988 0.882 0.003
261 Cl 0.048 0.515 0.157
262 Cl 0.048 0.985 0.657
263 Cl 0.098 0.142 0.570
264 Cl 0.098 0.358 0.070
265 Cl 0.131 0.541 0.029
266 Cl 0.131 0.959 0.529
267 Cl 0.194 0.108 0.433
268 Cl 0.194 0.392 0.933
269 Cl 0.268 0.079 0.762
270 Cl 0.268 0.421 0.262
271 Cl 0.366 0.071 0.626
272 Cl 0.366 0.429 0.126
273 Cl 0.634 0.571 0.874
274 Cl 0.634 0.929 0.374
275 Cl 0.732 0.579 0.738
276 Cl 0.732 0.921 0.238
277 Cl 0.806 0.608 0.067
278 Cl 0.806 0.892 0.567
279 Cl 0.869 0.041 0.471
280 Cl 0.869 0.459 0.971
281 Cl 0.902 0.642 0.930
282 Cl 0.902 0.858 0.430
283 Cl 0.952 0.015 0.343
284 Cl 0.952 0.485 0.843
285 O 0.038 0.682 0.099
286 O 0.038 0.818 0.599
287 O 0.311 0.574 0.191
288 O 0.311 0.926 0.691
289 O 0.689 0.074 0.309
290 O 0.689 0.426 0.809
291 O 0.962 0.182 0.401
292 O 0.962 0.318 0.901